No. 1
Entry from the Materials Project: crystalline Li2CuNiO4 at its relaxed geometry (PBE with a Hubbard U).

Total magnetic moment ... 0.34 μB/atom
Energy relative to the elements ... -1.394 eV per atom
Total DFT energy (no corrections) ... -4.919 eV/atom
SG ... Imma, No. 74

a b c (Å): 5.8671 5.8671 5.8671
angles (deg): 121.07 120.72 88.45
Fractional positions:
Cu (0.5000, 0.0000, 0.5000)
Cu (0.0000, 0.0000, 0.0000)
O (0.2279, 0.7375, 0.0096)
O (0.2279, 0.2182, 0.4904)
O (0.7760, 0.2528, 0.5232)
O (0.2296, 0.2528, 0.9768)
O (0.7721, 0.7818, 0.5096)
O (0.7704, 0.7472, 0.0232)
O (0.2240, 0.7472, 0.4768)
O (0.7721, 0.2625, 0.9904)
Ni (0.0000, 0.0000, 0.5000)
Ni (0.0000, 0.5000, 0.0000)
Li (0.5000, 0.5000, 0.5000)
Li (0.0000, 0.5000, 0.5000)
Li (0.5000, 0.5000, 0.0000)
Li (0.5000, 0.0000, 0.0000)

No. 2
Entry from the Materials Project: crystalline Li5Cu5Ni2O12 at its relaxed geometry (PBE with a Hubbard U).

Total magnetic moment ... 0.08 μB/atom
Energy relative to the elements ... -1.285 eV per atom
Total DFT energy (no corrections) ... -4.937 eV/atom
SG ... C2, No. 5

a b c (Å): 5.0073 5.0073 9.4957
angles (deg): 88.17 88.17 114.69
Fractional positions:
Li (0.8406, 0.6647, 0.2579)
Li (0.3353, 0.1594, 0.7421)
Li (0.6682, 0.8475, 0.7442)
Li (0.0821, 0.9179, 0.5000)
Li (0.1525, 0.3318, 0.2558)
Cu (0.0028, 0.5076, 0.7479)
Cu (0.4166, 0.5834, 0.5000)
Cu (0.9201, 0.0799, 0.0000)
Cu (0.4924, 0.9972, 0.2521)
Cu (0.5813, 0.4187, 0.0000)
O (0.1897, 0.9973, 0.1291)
O (0.0060, 0.2060, 0.6318)
O (0.5779, 0.0763, 0.9044)
O (0.6947, 0.5122, 0.6226)
O (0.4324, 0.9200, 0.5973)
O (0.9237, 0.4221, 0.0956)
O (0.0800, 0.5676, 0.4027)
O (0.3130, 0.4975, 0.8732)
O (0.5025, 0.6870, 0.1268)
O (0.0027, 0.8103, 0.8709)
O (0.4878, 0.3053, 0.3774)
O (0.7940, 0.9940, 0.3682)
Ni (0.7525, 0.2475, 0.5000)
Ni (0.2513, 0.7487, 0.0000)

No. 3
Entry from the Materials Project: crystalline Li5Cu3Ni2O10 at its relaxed geometry (PBE with a Hubbard U).

Total magnetic moment ... 0.00 μB/atom
Energy relative to the elements ... -1.387 eV per atom
Total DFT energy (no corrections) ... -4.934 eV/atom
SG ... P-1, No. 2

a b c (Å): 4.9792 5.2590 7.4823
angles (deg): 105.09 103.27 103.99
Fractional positions:
O (0.5564, 0.1198, 0.3368)
O (0.2144, 0.5233, 0.2475)
O (0.6595, 0.3316, 0.0757)
O (0.3405, 0.6684, 0.9243)
O (0.4436, 0.8802, 0.6632)
O (0.1292, 0.3326, 0.5447)
O (0.0582, 0.0215, 0.8360)
O (0.9418, 0.9785, 0.1640)
O (0.8708, 0.6674, 0.4553)
O (0.7856, 0.4767, 0.7525)
Cu (0.6963, 0.8876, 0.8972)
Cu (0.0000, 0.5000, 0.0000)
Cu (0.3037, 0.1124, 0.1028)
Li (0.6037, 0.7193, 0.2142)
Li (0.7916, 0.1029, 0.6011)
Li (0.3963, 0.2807, 0.7858)
Li (0.5000, 0.5000, 0.5000)
Li (0.2084, 0.8971, 0.3989)
Ni (0.1005, 0.6756, 0.6924)
Ni (0.8995, 0.3244, 0.3076)

No. 4
Entry from the Materials Project: crystalline Li5Cu2Ni5O12 at its relaxed geometry (PBE with a Hubbard U).

Total magnetic moment ... 0.29 μB/atom
Energy relative to the elements ... -1.422 eV per atom
Total DFT energy (no corrections) ... -4.967 eV/atom
SG ... C2, No. 5

a b c (Å): 5.0442 5.0442 9.6341
angles (deg): 86.17 86.17 117.38
Fractional positions:
O (0.6816, 0.5229, 0.6132)
O (0.4771, 0.3184, 0.3868)
O (0.5368, 0.7160, 0.1108)
O (0.2840, 0.4632, 0.8892)
O (0.3286, 0.8155, 0.6319)
O (0.1845, 0.6714, 0.3681)
O (0.2254, 0.0183, 0.1159)
O (0.0145, 0.2280, 0.6142)
O (0.6770, 0.1689, 0.8589)
O (0.8311, 0.3230, 0.1411)
O (0.7720, 0.9855, 0.3858)
O (0.9817, 0.7746, 0.8841)
Cu (0.7397, 0.2603, 0.5000)
Cu (0.2565, 0.7435, 0.0000)
Li (0.3474, 0.1627, 0.7440)
Li (0.0803, 0.9197, 0.5000)
Li (0.6613, 0.8406, 0.7458)
Li (0.8373, 0.6526, 0.2560)
Li (0.1594, 0.3387, 0.2542)
Ni (0.5918, 0.4082, 0.0000)
Ni (0.9187, 0.0813, 0.0000)
Ni (0.4100, 0.5900, 0.5000)
Ni (0.5020, 0.9985, 0.2528)
Ni (0.0015, 0.4980, 0.7472)

No. 5
Entry from the Materials Project: crystalline Li3Cu2Ni5O12 at its relaxed geometry (PBE with a Hubbard U).

Total magnetic moment ... 0.23 μB/atom
Energy relative to the elements ... -1.203 eV per atom
Total DFT energy (no corrections) ... -4.896 eV/atom
SG ... P1, No. 1

a b c (Å): 5.0239 5.0337 28.7015
angles (deg): 85.60 93.90 63.28
Fractional positions:
Ni (0.9971, 0.5148, 0.9985)
Ni (0.5900, 0.5916, 0.2500)
Ni (0.9971, 0.5098, 0.3321)
Ni (0.5051, 0.9988, 0.5007)
Ni (0.4046, 0.4177, 0.7502)
Ni (0.4054, 0.4206, 0.4167)
Ni (0.5087, 0.9994, 0.1678)
Ni (0.5878, 0.5912, 0.5838)
Ni (0.0799, 0.0846, 0.0833)
Ni (0.0852, 0.0727, 0.4166)
Ni (0.0833, 0.0710, 0.7503)
Ni (0.5035, 0.9950, 0.8343)
Ni (0.4079, 0.4134, 0.0829)
Ni (0.9955, 0.5136, 0.6659)
Ni (0.5892, 0.5938, 0.9167)
Li (0.6515, 0.1534, 0.9979)
Li (0.6485, 0.1564, 0.6654)
Li (0.8364, 0.3503, 0.5002)
Li (0.6522, 0.1544, 0.3311)
Li (0.1541, 0.6513, 0.1684)
Li (0.9352, 0.9093, 0.9153)
Li (0.8345, 0.3520, 0.8331)
Li (0.9342, 0.9080, 0.5826)
Li (0.9228, 0.9254, 0.2496)
O (0.5475, 0.2916, 0.8819)
O (0.6750, 0.8241, 0.9587)
O (0.3258, 0.1932, 0.0378)
O (0.6707, 0.8234, 0.6257)
O (0.8203, 0.6757, 0.2073)
O (0.4677, 0.7002, 0.7859)
O (0.9468, 0.2722, 0.9512)
O (0.7251, 0.4499, 0.3817)
O (0.5110, 0.3132, 0.2137)
O (0.2550, 0.9577, 0.5490)
O (0.3162, 0.5146, 0.6205)
O (0.7673, 0.0177, 0.1201)
O (0.9462, 0.2703, 0.6185)
O (0.6714, 0.8219, 0.2925)
O (0.9379, 0.2639, 0.2848)
O (0.2585, 0.9590, 0.8819)
O (0.1754, 0.3104, 0.7947)
O (0.7589, 0.0303, 0.4535)
O (0.7238, 0.4481, 0.7155)
O (0.2645, 0.9405, 0.2152)
O (0.7541, 0.0295, 0.7869)
O (0.3239, 0.1940, 0.7065)
O (0.3283, 0.1936, 0.3729)
O (0.0085, 0.7814, 0.7123)
O (0.8190, 0.6545, 0.5411)
O (0.0131, 0.7736, 0.0461)
O (0.5478, 0.2847, 0.5482)
O (0.7247, 0.4492, 0.0486)
O (0.1881, 0.3298, 0.1287)
O (0.3100, 0.5103, 0.2864)
O (0.4430, 0.7284, 0.1181)
O (0.3156, 0.5167, 0.9533)
O (0.8159, 0.6627, 0.8733)
O (0.0136, 0.7788, 0.3787)
O (0.4685, 0.7070, 0.4526)
O (0.1654, 0.3190, 0.4608)
Cu (0.2613, 0.2560, 0.5834)
Cu (0.7366, 0.7411, 0.0833)
Cu (0.2508, 0.2511, 0.2500)
Cu (0.7403, 0.7420, 0.7499)
Cu (0.7437, 0.7427, 0.4163)
Cu (0.2635, 0.2573, 0.9165)

No. 6
Entry from the Materials Project: crystalline Li2CuNiO4 at its relaxed geometry (PBE with a Hubbard U).

Total magnetic moment ... 0.00 μB/atom
Energy relative to the elements ... -1.453 eV per atom
Total DFT energy (no corrections) ... -4.978 eV/atom
SG ... C2/c, No. 15

a b c (Å): 5.6872 6.0139 5.6870
angles (deg): 64.07 87.79 118.15
Fractional positions:
O (0.2746, 0.5671, 0.2403)
O (0.1926, 0.9329, 0.7926)
O (0.2641, 0.0540, 0.1890)
O (0.7570, 0.4460, 0.2899)
O (0.8074, 0.0671, 0.2074)
O (0.2430, 0.5540, 0.7101)
O (0.7254, 0.4329, 0.7597)
O (0.7359, 0.9460, 0.8110)
Li (0.5000, 0.5000, 0.0000)
Li (0.5000, 0.0000, 0.5000)
Li (0.5000, 0.5000, 0.5000)
Li (0.0000, 0.0000, 0.5000)
Cu (0.0000, 0.0000, 0.0000)
Cu (0.0000, 0.5000, 0.5000)
Ni (0.5000, 0.0000, 0.0000)
Ni (0.0000, 0.5000, 0.0000)